Entry 1:
## Nb2Si3Ge2S3O24 (GGA-PBE)

Data for a relaxed structure of Nb2Si3Ge2S3O24.

Values from the calculation:
- Symmetry: No. 1
- Total energy after the MP2020 corrections: -0.559 Ry per atom

a = 8.6779 Å, b = 8.6897 Å, c = 22.3926 Å
α = 89.07°, β = 89.21°, γ = 60.38°
With the nearest neighbours (Å) after each atom.
Sites, in units of the cell vectors:
1 Nb 0.0000 0.0000 0.0000  5 O 1.89-2.11
2 Nb 0.0011 0.9793 0.5026  3 O 1.84-1.96
3 Nb 0.3298 0.3288 0.3340  6 O 1.90-2.07
4 Nb 0.3436 0.3098 0.8308  5 O 1.86-2.06
5 Nb 0.6780 0.6611 0.6672  4 O 1.89-1.96
6 Nb 0.6830 0.6430 0.1648  5 O 1.86-2.07
7 Si 0.0282 0.2505 0.1119  4 O 1.60-1.67
8 Si 0.0306 0.6876 0.6126  4 O 1.60-1.68
9 Si 0.2713 0.9895 0.6150  4 O 1.60-1.67
10 Si 0.2788 0.6994 0.1106  4 O 1.61-1.66
11 Si 0.5965 0.0470 0.4489  4 O 1.62-1.66
12 Si 0.5977 0.3478 0.9453  4 O 1.63-1.66
13 Si 0.6907 0.9146 0.7799  4 O 1.59-1.67
14 Si 0.9358 0.6867 0.2783  4 O 1.63-1.66
15 Si 0.9447 0.3498 0.7770  4 O 1.59-1.67
16 Ge 0.0079 0.9735 0.7194  5 O 1.80-1.98
17 Ge 0.0155 0.9672 0.2099  3 O 1.75-1.80
18 Ge 0.3195 0.3490 0.0512  3 O 1.76-1.81
19 Ge 0.3428 0.2955 0.5629  4 O 1.72-1.85
20 Ge 0.6661 0.6885 0.3863  4 O 1.77-1.92
21 Ge 0.6865 0.6228 0.8773  3 O 1.75-1.80
22 S 0.0268 0.3443 0.4430  4 O 1.45-1.51
23 S 0.0355 0.6037 0.9451  4 O 1.46-1.51
24 S 0.3482 0.0318 0.9443  4 O 1.44-1.54
25 S 0.3513 0.6082 0.4400  4 O 1.43-1.51
26 S 0.3736 0.9356 0.2790  4 O 1.46-1.52
27 S 0.3767 0.6667 0.7787  4 O 1.45-1.51
28 S 0.6790 0.3713 0.2795  4 O 1.44-1.53
29 S 0.7065 0.0050 0.1105  4 O 1.45-1.51
30 S 0.7103 0.2679 0.6109  4 O 1.45-1.50
31 O 0.0135 0.1818 0.4469  1 S 1.47
32 O 0.0160 0.7829 0.9534  1 S 1.49
33 O 0.0450 0.1355 0.1724  1 Si 1.64, 1 Ge 1.80
34 O 0.0553 0.7788 0.6703  1 Si 1.60
35 O 0.0993 0.3790 0.4956  1 S 1.45
36 O 0.1086 0.4960 0.0015  1 S 1.51
37 O 0.1338 0.5111 0.2899  1 Si 1.66
38 O 0.1356 0.3458 0.7898  1 Si 1.67
39 O 0.1381 0.3222 0.3880  1 S 1.51
40 O 0.1421 0.0275 0.6710  1 Si 1.60
41 O 0.1490 0.5256 0.8932  1 S 1.46
42 O 0.1582 0.7752 0.1709  1 Si 1.63, 1 Ge 1.75
43 O 0.1781 0.9779 0.5519  1 Si 1.67
44 O 0.1787 0.0178 0.9487  1 S 1.54
45 O 0.1858 0.8244 0.0523  1 Si 1.63
46 O 0.1935 0.7906 0.4441  1 S 1.50
47 O 0.1960 0.9564 0.2734  1 S 1.47
48 O 0.1992 0.2682 0.0960  1 Si 1.60
49 O 0.2023 0.5055 0.5922  1 Si 1.61, 1 Ge 1.75
50 O 0.2017 0.8251 0.7751  1 S 1.46
51 O 0.2950 0.1638 0.6089  1 Si 1.63, 1 Ge 1.72
52 O 0.2999 0.5061 0.1040  1 Si 1.61, 1 Ge 1.76
53 O 0.3084 0.1461 0.8903  1 S 1.48
54 O 0.3126 0.5312 0.3864  1 S 1.51
55 O 0.3484 0.5098 0.7860  1 S 1.51
56 O 0.3526 0.1185 0.2870  1 S 1.52
57 O 0.3659 0.1163 0.9977  1 S 1.46
58 O 0.3813 0.5039 0.4934  1 S 1.43
59 O 0.4503 0.8281 0.3346  1 S 1.49
60 O 0.4580 0.6905 0.8329  1 S 1.48
61 O 0.4634 0.8101 0.6209  1 Si 1.63
62 O 0.4682 0.1499 0.5048  1 Si 1.62, 1 Ge 1.77
63 O 0.4734 0.6850 0.1238  1 Si 1.66
64 O 0.4766 0.3673 0.0042  1 Si 1.63, 1 Ge 1.78
65 O 0.4841 0.6305 0.7249  1 S 1.45
66 O 0.4865 0.8605 0.2267  1 S 1.46
67 O 0.4985 0.8575 0.9368  1 S 1.44
68 O 0.5034 0.1649 0.3877  1 Si 1.66
69 O 0.5081 0.3137 0.8872  1 Si 1.63
70 O 0.5105 0.3564 0.2858  1 S 1.53
71 O 0.5143 0.1148 0.7896  1 Si 1.67, 1 Nb 1.86
72 O 0.5143 0.6197 0.4276  1 S 1.49
73 O 0.5303 0.2904 0.6030  1 S 1.49
74 O 0.5309 0.1559 0.1028  1 S 1.45
75 O 0.6129 0.8535 0.4405  1 Si 1.63, 1 Ge 1.77
76 O 0.6161 0.5243 0.9352  1 Si 1.63, 1 Ge 1.80
77 O 0.6381 0.4854 0.2250  1 S 1.49
78 O 0.6399 0.8447 0.7196  1 Si 1.64
79 O 0.6884 0.4455 0.6159  1 S 1.46
80 O 0.6878 0.8425 0.1197  1 S 1.51
81 O 0.6986 0.4563 0.3324  1 S 1.46
82 O 0.7071 0.7958 0.8392  1 Si 1.63, 1 Ge 1.80
83 O 0.7817 0.1563 0.6636  1 S 1.45
84 O 0.7855 0.0352 0.1644  1 S 1.49
85 O 0.7930 0.0260 0.4555  1 Si 1.63
86 O 0.7949 0.1697 0.9567  1 Si 1.66
87 O 0.8149 0.7134 0.3380  1 Si 1.63, 1 Ge 1.77
88 O 0.8167 0.1912 0.5552  1 S 1.50
89 O 0.8200 0.9631 0.0572  1 S 1.47
90 O 0.8249 0.4292 0.8378  1 Si 1.64, 1 Ge 1.75
91 O 0.8289 0.1967 0.2709  1 S 1.44
92 O 0.8442 0.4963 0.4329  1 S 1.50
93 O 0.8492 0.4836 0.7202  1 Si 1.64
94 O 0.8504 0.6425 0.2211  1 Si 1.63
95 O 0.8521 0.4500 0.1224  1 Si 1.67, 1 Nb 1.86
96 O 0.8529 0.6667 0.6177  1 Si 1.64
97 O 0.8583 0.6216 0.9393  1 S 1.48
98 O 0.8617 0.9332 0.7676  1 Si 1.59
99 O 0.9484 0.8653 0.2668  1 Si 1.63, 1 Ge 1.79
100 O 0.9681 0.1589 0.7662  1 Si 1.59
101 O 0.9752 0.1765 0.0536  1 Si 1.63
102 O 0.9829 0.8152 0.5509  1 Si 1.68, 1 Nb 1.84

Entry 2:
## Nb4GeS8 (GGA-PBE)

Data for a relaxed structure of Nb4GeS8.

Values from the calculation:
- Symmetry: No. 156
- Total energy after the MP2020 corrections: -0.529 Ry per atom

a = 3.3701 Å, b = 3.3701 Å, c = 28.6718 Å
α = 90.00°, β = 90.00°, γ = 120.00°
With the nearest neighbours (Å) after each atom.
Sites, in units of the cell vectors:
1 Nb 0.0000 0.0000 0.0000  6 S 2.48-2.54
2 Nb 0.0000 0.0000 0.2541  6 S 2.50
3 Nb 0.6667 0.3333 0.4901  6 S 2.50
4 Nb 0.6667 0.3333 0.7488  6 S 2.50-2.51
5 Ge 0.6667 0.3333 0.8718  6 S 2.75-2.82
6 S 0.0000 0.0000 0.6939  3 Nb 2.50
7 S 0.0000 0.0000 0.8043  3 Nb 2.51, 3 Ge 2.75
8 S 0.3333 0.6667 0.0537  3 Nb 2.48
9 S 0.3333 0.6667 0.4353  3 Nb 2.50
10 S 0.3333 0.6667 0.5450  3 Nb 2.50
11 S 0.3333 0.6667 0.9433  3 Nb 2.54, 3 Ge 2.82
12 S 0.6667 0.3333 0.1992  3 Nb 2.50
13 S 0.6667 0.3333 0.3089  3 Nb 2.50

Entry 3:
## Nb3GeS6 (GGA-PBE)

Data for a relaxed structure of Nb3GeS6.

Values from the calculation:
- Symmetry: No. 193
- Total energy after the MP2020 corrections: -0.533 Ry per atom

a = 5.8240 Å, b = 5.8240 Å, c = 13.6596 Å
α = 90.00°, β = 90.00°, γ = 120.00°
With the nearest neighbours (Å) after each atom.
Sites, in units of the cell vectors:
1 Nb 0.0000 0.0000 0.2500  6 S 2.50
2 Nb 0.0000 0.0000 0.7500  6 S 2.50
3 Nb 0.3333 0.6667 0.2500  6 S 2.49
4 Nb 0.3333 0.6667 0.7500  6 S 2.49
5 Nb 0.6667 0.3333 0.2500  6 S 2.49
6 Nb 0.6667 0.3333 0.7500  6 S 2.49
7 Ge 0.0000 0.0000 0.0000  6 S 2.68
8 Ge 0.0000 0.0000 0.5000  6 S 2.68
9 S 0.0000 0.3343 0.1351  3 Nb 2.49-2.50, 1 Ge 2.68
10 S 0.0000 0.3343 0.3649  3 Nb 2.49-2.50, 1 Ge 2.68
11 S 0.0000 0.6657 0.6351  3 Nb 2.49-2.50, 1 Ge 2.68
12 S 0.0000 0.6657 0.8649  3 Nb 2.49-2.50, 1 Ge 2.68
13 S 0.3343 0.0000 0.1351  3 Nb 2.49-2.50, 1 Ge 2.68
14 S 0.3343 0.0000 0.3649  3 Nb 2.49-2.50, 1 Ge 2.68
15 S 0.3343 0.3343 0.6351  3 Nb 2.49-2.50, 1 Ge 2.68
16 S 0.3343 0.3343 0.8649  3 Nb 2.49-2.50, 1 Ge 2.68
17 S 0.6657 0.0000 0.6351  3 Nb 2.49-2.50, 1 Ge 2.68
18 S 0.6657 0.0000 0.8649  3 Nb 2.49-2.50, 1 Ge 2.68
19 S 0.6657 0.6657 0.1351  3 Nb 2.49-2.50, 1 Ge 2.68
20 S 0.6657 0.6657 0.3649  3 Nb 2.49-2.50, 1 Ge 2.68

Entry 4:
## Nb2GeSb2 (GGA-PBE)

Data for a relaxed structure of Nb2GeSb2.

Values from the calculation:
- Symmetry: No. 123
- Total energy after the MP2020 corrections: -0.451 Ry per atom

a = 2.8972 Å, b = 2.8972 Å, c = 14.3138 Å
α = 90.00°, β = 90.00°, γ = 90.00°
With the nearest neighbours (Å) after each atom.
Sites, in units of the cell vectors:
1 Nb 0.0000 0.0000 0.1803  1 Ge 2.58
2 Nb 0.0000 0.0000 0.8197  1 Ge 2.58
3 Ge 0.0000 0.0000 0.0000  2 Nb 2.58
4 Sb 0.0000 0.0000 0.3834  4 Sb 2.90, 1 Nb 2.91
5 Sb 0.0000 0.0000 0.6166  4 Sb 2.90, 1 Nb 2.91

Entry 5:
## NbGeSb (GGA-PBE)

Data for a relaxed structure of NbGeSb.

Values from the calculation:
- Symmetry: No. 129
- Total energy after the MP2020 corrections: -0.491 Ry per atom

a = 3.7492 Å, b = 3.7492 Å, c = 8.2951 Å
α = 90.00°, β = 90.00°, γ = 90.00°
With the nearest neighbours (Å) after each atom.
Sites, in units of the cell vectors:
1 Nb 0.2500 0.2500 0.2451  4 Ge 2.77, 5 Sb 2.90-3.06
2 Nb 0.7500 0.7500 0.7549  4 Ge 2.77, 5 Sb 2.90-3.06
3 Ge 0.2500 0.7500 0.0000  4 Ge 2.65, 4 Nb 2.77
4 Ge 0.7500 0.2500 0.0000  4 Ge 2.65, 4 Nb 2.77
5 Sb 0.2500 0.2500 0.6140  5 Nb 2.90-3.06
6 Sb 0.7500 0.7500 0.3860  5 Nb 2.90-3.06

Entry 6:
## Sc2Nb3Ge4 (GGA-PBE)

Data for a relaxed structure of Sc2Nb3Ge4.

Values from the calculation:
- Symmetry: No. 62
- E above lowest polymorph: 0.000 eV/atom

a = 6.8693 Å, b = 13.3854 Å, c = 7.0535 Å
α = 90.00°, β = 90.00°, γ = 90.00°
With the nearest neighbours (Å) after each atom.
Sites, in units of the cell vectors:
1 Sc 0.0059 0.0939 0.1768  7 Ge 2.77-3.01
2 Sc 0.0059 0.4061 0.1768  7 Ge 2.77-3.01
3 Sc 0.4941 0.5939 0.6768  7 Ge 2.77-3.01
4 Sc 0.4941 0.9061 0.6768  7 Ge 2.77-3.01
5 Sc 0.5059 0.0939 0.3232  7 Ge 2.77-3.01
6 Sc 0.5059 0.4061 0.3232  7 Ge 2.77-3.01
7 Sc 0.9941 0.5939 0.8232  7 Ge 2.77-3.01
8 Sc 0.9941 0.9061 0.8232  7 Ge 2.77-3.01
9 Nb 0.1598 0.6255 0.3307  6 Ge 2.62-2.80
10 Nb 0.1598 0.8745 0.3307  6 Ge 2.62-2.80
11 Nb 0.1643 0.2500 0.5104  6 Ge 2.69-2.81, 2 Nb 3.00
12 Nb 0.3357 0.7500 0.0104  6 Ge 2.69-2.81, 2 Nb 3.00
13 Nb 0.3402 0.1255 0.8307  6 Ge 2.62-2.80
14 Nb 0.3402 0.3745 0.8307  6 Ge 2.62-2.80
15 Nb 0.6598 0.6255 0.1693  6 Ge 2.62-2.80
16 Nb 0.6598 0.8745 0.1693  6 Ge 2.62-2.80
17 Nb 0.6643 0.2500 0.9896  6 Ge 2.69-2.81, 2 Nb 3.00
18 Nb 0.8357 0.7500 0.4896  6 Ge 2.69-2.81, 2 Nb 3.00
19 Nb 0.8402 0.1255 0.6693  6 Ge 2.62-2.80
20 Nb 0.8402 0.3745 0.6693  6 Ge 2.62-2.80
21 Ge 0.0402 0.2500 0.8850  1 Ge 2.60, 6 Nb 2.64-2.78
22 Ge 0.1812 0.0404 0.5340  4 Nb 2.62-2.81, 1 Ge 2.76, 2 Sc 2.77-2.88
23 Ge 0.1812 0.4596 0.5340  4 Nb 2.62-2.81, 1 Ge 2.76, 2 Sc 2.77-2.88
24 Ge 0.1954 0.7500 0.6482  1 Ge 2.60, 4 Nb 2.71-2.80, 2 Sc 2.79
25 Ge 0.3046 0.2500 0.1482  1 Ge 2.60, 4 Nb 2.71-2.80, 2 Sc 2.79
26 Ge 0.3188 0.5404 0.0340  4 Nb 2.62-2.81, 1 Ge 2.76, 2 Sc 2.77-2.88
27 Ge 0.3188 0.9596 0.0340  4 Nb 2.62-2.81, 1 Ge 2.76, 2 Sc 2.77-2.88
28 Ge 0.4598 0.7500 0.3850  1 Ge 2.60, 6 Nb 2.64-2.78
29 Ge 0.5402 0.2500 0.6150  1 Ge 2.60, 6 Nb 2.64-2.78
30 Ge 0.6812 0.0404 0.9660  4 Nb 2.62-2.81, 1 Ge 2.76, 2 Sc 2.77-2.88
31 Ge 0.6812 0.4596 0.9660  4 Nb 2.62-2.81, 1 Ge 2.76, 2 Sc 2.77-2.88
32 Ge 0.6954 0.7500 0.8518  1 Ge 2.60, 4 Nb 2.71-2.80, 2 Sc 2.79
33 Ge 0.8046 0.2500 0.3518  1 Ge 2.60, 4 Nb 2.71-2.80, 2 Sc 2.79
34 Ge 0.8188 0.5404 0.4660  4 Nb 2.62-2.81, 1 Ge 2.76, 2 Sc 2.77-2.88
35 Ge 0.8188 0.9596 0.4660  4 Nb 2.62-2.81, 1 Ge 2.76, 2 Sc 2.77-2.88
36 Ge 0.9598 0.7500 0.1150  1 Ge 2.60, 6 Nb 2.64-2.78

Entry 7:
## Sc2Nb3Ge3 (GGA-PBE)

Data for a relaxed structure of Sc2Nb3Ge3.

Values from the calculation:
- Symmetry: No. 38

a = 5.4431 Å, b = 7.8802 Å, c = 7.8802 Å
α = 120.41°, β = 90.00°, γ = 90.00°
With the nearest neighbours (Å) after each atom.
Sites, in units of the cell vectors:
1 Sc 0.0000 0.9997 0.9997  5 Ge 2.71-2.93
2 Sc 0.0000 0.2478 0.5007  5 Ge 2.69-2.92
3 Sc 0.0000 0.5007 0.2478  5 Ge 2.69-2.92
4 Sc 0.5000 0.5000 0.5000  5 Ge 2.69-2.93
5 Nb 0.2488 0.5822 0.9162  2 Nb 2.71-2.74, 6 Ge 2.76-2.80
6 Nb 0.2488 0.9162 0.5822  2 Nb 2.71-2.74, 6 Ge 2.76-2.80
7 Nb 0.5000 0.2475 0.9837  5 Ge 2.69-2.90
8 Nb 0.5000 0.9837 0.2475  5 Ge 2.69-2.90
9 Nb 0.7512 0.5822 0.9162  2 Nb 2.71-2.74, 6 Ge 2.76-2.80
10 Nb 0.7512 0.9162 0.5822  2 Nb 2.71-2.74, 6 Ge 2.76-2.80
11 Ge 0.0000 0.2482 0.8573  3 Sc 2.69-2.81, 6 Nb 2.76-2.90
12 Ge 0.0000 0.6401 0.6401  5 Sc 2.71-2.93, 4 Nb 2.79
13 Ge 0.0000 0.8573 0.2482  3 Sc 2.69-2.81, 6 Nb 2.76-2.90
14 Ge 0.5000 0.2484 0.6365  3 Sc 2.69-2.92, 6 Nb 2.70-2.79
15 Ge 0.5000 0.6365 0.2484  3 Sc 2.69-2.92, 6 Nb 2.70-2.79
16 Ge 0.5000 0.8605 0.8605  6 Nb 2.69-2.80, 3 Sc 2.82-2.93

Number 1: calculated formation energy -81.74 eV per formula unit. Number 2: calculated formation energy -15.37 eV per formula unit. Number 3: calculated formation energy -12.84 eV per formula unit. Number 4: calculated formation energy 2.42 eV per formula unit. Number 5: calculated formation energy -1.19 eV per formula unit. Number 6: calculated formation energy -6.44 eV per formula unit. Number 7: calculated formation energy -5.10 eV per formula unit.